(1)
A plane-wave DFT calculation with PBE was carried out for an optimized crystal structure of BiO2.

Properties
Relative energy among the computed polymorphs (meV per atom): 175
Space-group type: No. 2
Energy relative to the elements (meV/atom): -1284
E (MP2020) (eV/atom): -5.88

a = 6.192 Å, b = 6.964 Å, c = 12.501 Å
α = 89.88°, β = 90.19°, γ = 89.99°
Atoms (fractional coordinates):
Bi (0.508, 0.750, 0.475)
Bi (0.507, 0.750, 0.020)
Bi (0.492, 0.250, 0.525)
Bi (0.493, 0.250, 0.980)
Bi (0.000, 0.500, 0.500)
Bi (0.000, 0.000, 0.000)
Bi (0.000, 0.000, 0.500)
Bi (0.000, 0.500, 0.000)
O (0.878, 0.750, 0.406)
O (0.873, 0.750, 0.092)
O (0.122, 0.250, 0.594)
O (0.126, 0.250, 0.908)
O (0.170, 0.750, 0.576)
O (0.165, 0.750, 0.922)
O (0.830, 0.250, 0.424)
O (0.835, 0.250, 0.077)
O (0.697, 0.527, 0.577)
O (0.697, 0.978, 0.921)
O (0.304, 0.028, 0.423)
O (0.303, 0.477, 0.079)
O (0.304, 0.473, 0.423)
O (0.303, 0.022, 0.079)
O (0.697, 0.972, 0.577)
O (0.697, 0.523, 0.921)

(2)
A plane-wave DFT calculation with PBE was carried out for an optimized crystal structure of Bi2O3.

Properties
Space-group type: No. 56
Energy relative to the elements (meV/atom): -1618
E (MP2020) (eV/atom): -6.14

a = 5.254 Å, b = 5.725 Å, c = 12.812 Å
α = 90.00°, β = 90.00°, γ = 90.00°
Atoms (fractional coordinates):
Bi (0.951, 0.320, 0.625)
Bi (0.549, 0.820, 0.625)
Bi (0.451, 0.680, 0.125)
Bi (0.451, 0.180, 0.375)
Bi (0.951, 0.820, 0.875)
Bi (0.549, 0.320, 0.875)
Bi (0.049, 0.180, 0.125)
Bi (0.049, 0.680, 0.375)
O (0.381, 0.330, 0.057)
O (0.119, 0.830, 0.057)
O (0.250, 0.482, 0.250)
O (0.750, 0.518, 0.750)
O (0.750, 0.018, 0.750)
O (0.119, 0.330, 0.443)
O (0.381, 0.830, 0.443)
O (0.881, 0.170, 0.943)
O (0.619, 0.670, 0.943)
O (0.619, 0.170, 0.557)
O (0.881, 0.670, 0.557)
O (0.250, 0.982, 0.250)

(3)
A plane-wave DFT calculation with PBE was carried out for an optimized crystal structure of BiO2.

Properties
Relative energy among the computed polymorphs (meV per atom): 379
Space-group type: No. 72
Energy relative to the elements (meV/atom): -1081
E (MP2020) (eV/atom): -5.68

a = 7.577 Å, b = 7.577 Å, c = 7.577 Å
α = 146.23°, β = 129.24°, γ = 62.37°
Atoms (fractional coordinates):
Bi (0.661, 0.376, 0.285)
Bi (0.908, 0.124, 0.785)
Bi (0.092, 0.876, 0.215)
Bi (0.339, 0.624, 0.715)
O (0.651, 0.224, 0.427)
O (0.948, 0.577, 0.371)
O (0.206, 0.077, 0.129)
O (0.203, 0.276, 0.927)
O (0.349, 0.776, 0.573)
O (0.052, 0.423, 0.629)
O (0.794, 0.923, 0.871)
O (0.797, 0.724, 0.073)